Below is a relaxed SrLaTaNiO6 crystal, with properties calculated at the PBE+U level. Values from VASP.

Structure (Quantum ESPRESSO input):
```
&SYSTEM
  ibrav = 0, nat = 20, ntyp = 5
/
ATOMIC_SPECIES
Sr 87.62 Sr.upf
La 138.91 La.upf
Ta 180.95 Ta.upf
Ni 58.69 Ni.upf
O 16.00 O.upf
CELL_PARAMETERS angstrom
0.719 -5.209 -2.099
-2.894 -1.629 -4.585
4.646 3.772 -7.769
ATOMIC_POSITIONS crystal
Sr 0.375 0.250 0.125
Sr 0.875 0.250 0.625
La 0.125 0.750 0.375
La 0.625 0.750 0.875
Ta 0.750 0.500 0.250
Ta 0.250 0.500 0.750
Ni 0.500 0.000 0.500
Ni 0.000 0.000 0.000
O 0.121 0.253 0.374
O 0.621 0.253 0.874
O 0.626 0.253 0.374
O 0.126 0.253 0.874
O 0.626 0.747 0.374
O 0.126 0.747 0.874
O 0.874 0.747 0.126
O 0.374 0.747 0.626
O 0.874 0.253 0.126
O 0.374 0.253 0.626
O 0.379 0.747 0.126
O 0.879 0.747 0.626
```

offset from the most stable computed form: 0.39 eV per formula unit
E_tot: -7.81 eV per atom
DFT formation energy: -3.085 eV/atom
M_tot: 0.00 μB/f.u.

=====

Below is a relaxed MgFe8O8F8 crystal, with properties calculated at the PBE+U level. Values from VASP.

Structure (Quantum ESPRESSO input):
```
&SYSTEM
  ibrav = 0, nat = 25, ntyp = 4
/
ATOMIC_SPECIES
Mg 24.30 Mg.upf
Fe 55.84 Fe.upf
O 16.00 O.upf
F 19.00 F.upf
CELL_PARAMETERS angstrom
10.048 0.581 0.000
0.582 10.078 0.000
0.000 0.000 3.049
ATOMIC_POSITIONS crystal
Mg 0.899 0.392 0.500
Fe 0.035 0.021 0.000
Fe 0.054 0.552 0.000
Fe 0.226 0.250 0.500
Fe 0.248 0.766 0.500
Fe 0.541 0.518 0.000
Fe 0.495 0.992 0.000
Fe 0.707 0.238 0.500
Fe 0.754 0.726 0.500
O 0.099 0.417 0.500
O 0.113 0.917 0.500
O 0.137 0.167 0.000
O 0.179 0.674 0.000
O 0.574 0.407 0.500
O 0.669 0.643 0.000
O 0.821 0.319 0.000
O 0.919 0.596 0.500
F 0.325 0.326 0.000
F 0.354 0.852 0.000
F 0.381 0.096 0.500
F 0.415 0.625 0.500
F 0.599 0.881 0.500
F 0.632 0.121 0.000
F 0.833 0.827 0.000
F 0.902 0.079 0.500
```

offset from the most stable computed form: 0.77 eV per formula unit
E_tot: -5.98 eV per atom
DFT formation energy: -2.099 eV/atom
M_tot: 0.00 μB/f.u.

=====

Below is a relaxed MgFe6O6F6 crystal, with properties calculated at the PBE+U level. Values from VASP.

Structure (Quantum ESPRESSO input):
```
&SYSTEM
  ibrav = 0, nat = 19, ntyp = 4
/
ATOMIC_SPECIES
Mg 24.30 Mg.upf
Fe 55.84 Fe.upf
O 16.00 O.upf
F 19.00 F.upf
CELL_PARAMETERS angstrom
-3.676 -3.275 1.176
10.797 -9.473 0.685
0.427 0.639 3.057
ATOMIC_POSITIONS crystal
Mg 0.857 0.827 0.950
Fe 0.969 0.017 0.998
Fe 0.077 0.319 0.002
Fe 0.181 0.625 0.980
Fe 0.536 0.192 0.511
Fe 0.560 0.477 0.495
Fe 0.340 0.844 0.456
O 0.224 0.263 0.506
O 0.340 0.585 0.484
O 0.035 0.920 0.459
O 0.166 0.753 0.962
O 0.389 0.424 0.997
O 0.723 0.247 0.008
F 0.338 0.108 0.012
F 0.811 0.560 0.984
F 0.573 0.915 0.955
F 0.795 0.087 0.519
F 0.892 0.406 0.499
F 0.667 0.765 0.454
```

offset from the most stable computed form: 0.18 eV per formula unit
E_tot: -5.98 eV per atom
DFT formation energy: -2.134 eV/atom
M_tot: 28.00 μB/f.u.

=====

Question: The highest offset from the most stable computed form belongs to which entry?
Answer: MgFe8O8F8

=====

Question: The lowest DFT formation energy belongs to which entry?
Answer: SrLaTaNiO6

=====

Question: Look up the M_tot of the first one.
Answer: 0.00 μB/f.u.

=====

Question: Which formula does entry 1 have?
Answer: SrLaTaNiO6